Entry 1:
Material: Ru4C14O13
Method: DFT, PBE
State: relaxed

Geometry as POSCAR:
```
Ru4C14O13
1.0
-8.017 4.714 0.963
-5.700 -0.016 -7.551
-9.580 -9.642 3.599
Ru C O
8 28 26
Cartesian
-18.546 -4.096 -3.245 Ru
-18.425 -2.470 -0.898 Ru
-12.897 -7.661 -3.105 Ru
-4.872 -2.474 -2.090 Ru
-4.751 -0.848 0.257 Ru
-11.631 -5.131 -3.436 Ru
-11.666 0.186 0.448 Ru
-10.400 2.716 0.117 Ru
-5.614 -0.895 -2.948 C
-6.625 -3.062 -1.543 C
-12.570 -3.996 -2.133 C
-13.146 -0.945 0.758 C
-8.939 1.757 -0.719 C
-7.979 -7.413 2.718 C
-1.877 -0.130 -0.900 C
-10.727 -0.948 -0.855 C
-11.051 2.909 -1.970 C
-16.672 -1.883 -1.445 C
-4.252 -2.730 -0.005 C
-10.484 -5.800 -0.502 C
-12.545 -4.454 -4.947 C
-13.455 -4.524 2.565 C
-21.421 -4.814 -2.088 C
-9.843 -0.421 -5.553 C
-18.469 -5.926 -2.529 C
-4.829 0.981 -0.459 C
-17.684 -4.049 -0.040 C
-19.045 -2.215 -2.983 C
-16.737 -4.056 -3.789 C
-12.813 0.855 -2.486 C
-15.318 2.468 -5.706 C
-10.752 -0.490 1.959 C
-12.246 -7.854 -1.018 C
-6.560 -0.889 0.801 C
-10.151 -4.000 -3.746 C
-14.359 -6.702 -2.269 C
-18.415 -6.986 -2.056 O
-10.490 -5.002 0.339 O
-13.156 -3.373 -1.352 O
-17.222 -4.955 0.521 O
-7.671 -0.929 1.139 O
-7.386 -4.016 1.666 O
-12.808 0.057 -3.327 O
-9.491 -0.178 -4.472 O
-8.046 1.227 -1.235 O
-14.070 -1.616 0.980 O
-15.620 -1.523 -1.753 O
-6.075 0.010 -3.509 O
-10.568 3.208 -2.993 O
-15.251 -6.172 -1.753 O
-14.826 2.319 -4.667 O
-15.626 -4.015 -4.127 O
-11.066 -8.678 2.705 O
-8.472 -7.264 1.679 O
-12.231 3.734 -5.693 O
-10.141 -1.571 -1.636 O
-15.911 -0.928 -4.654 O
-12.729 -8.153 0.005 O
-4.882 2.042 -0.932 O
-9.227 -3.328 -3.968 O
-7.677 -3.422 -1.235 O
-13.806 -4.767 1.484 O
```

Calculated values
Formation energy from the elements: -863 meV/atom
Crystal system: triclinic

---

Entry 2:
Material: Ru7C20S2O20
Method: DFT, PBE
State: relaxed

Geometry as POSCAR:
```
Ru7C20S2O20
1.0
-6.403 -9.395 -0.932
6.016 -5.304 12.138
-15.418 9.345 11.726
Ru C S O
28 80 8 80
Cartesian
-6.907 -9.717 10.404 Ru
-15.203 -1.829 13.599 Ru
-0.017 -7.666 13.567 Ru
4.362 -5.586 10.780 Ru
-6.837 -1.773 16.034 Ru
-8.067 -5.636 9.168 Ru
-2.466 0.817 4.088 Ru
-6.584 -0.375 18.681 Ru
-1.335 0.021 1.436 Ru
-6.067 -3.830 18.007 Ru
-5.436 -4.691 8.834 Ru
-7.235 -8.105 12.782 Ru
-10.867 -5.843 9.497 Ru
-10.725 5.881 8.415 Ru
-13.569 0.556 13.180 Ru
-9.720 0.538 7.108 Ru
-14.966 0.962 15.793 Ru
-16.442 0.884 13.236 Ru
-15.384 0.183 18.480 Ru
-9.241 -7.861 10.629 Ru
-8.667 -2.364 18.193 Ru
-5.794 -7.016 10.381 Ru
-4.029 -1.487 3.203 Ru
2.229 -6.382 12.457 Ru
-15.178 -1.847 16.522 Ru
-15.432 -4.232 15.048 Ru
-10.594 3.157 7.718 Ru
-1.096 -1.714 3.813 Ru
-10.926 -0.018 8.552 C
-16.977 0.336 11.514 C
0.456 -0.508 1.298 C
-4.546 -6.308 11.595 C
-5.276 -0.682 4.345 C
-13.506 2.039 16.284 C
-13.455 -4.217 14.968 C
-15.927 2.613 12.658 C
-7.508 -0.161 15.322 C
-13.834 -2.687 17.533 C
-7.171 -3.127 2.742 C
-18.237 1.375 13.657 C
-15.720 -3.217 8.736 C
-7.238 -7.574 0.299 C
-11.692 -7.011 19.615 C
-8.734 3.445 7.642 C
-3.852 0.187 10.731 C
-9.180 3.758 17.262 C
1.048 -5.303 11.470 C
-1.704 -1.735 11.692 C
0.259 -0.700 4.663 C
-10.355 -7.928 12.133 C
-10.803 -6.962 7.888 C
-11.590 -4.302 8.600 C
-4.225 -3.122 4.110 C
-14.016 0.616 11.341 C
-9.978 -8.559 18.038 C
-9.196 4.015 14.477 C
-9.497 -3.929 17.542 C
-7.408 -7.396 3.327 C
-8.296 -5.471 7.309 C
-0.741 -5.843 13.830 C
-1.562 -2.637 5.389 C
-16.558 -2.471 12.467 C
-10.083 -7.149 3.512 C
-16.541 -2.574 17.601 C
-11.767 -0.009 12.909 C
-10.528 2.753 9.553 C
-7.014 -5.359 18.552 C
-8.496 -3.823 9.452 C
-16.131 2.411 16.022 C
2.161 -7.756 11.170 C
0.061 -3.143 3.299 C
3.546 -3.804 10.874 C
-13.892 -2.541 12.466 C
-8.013 0.441 19.575 C
-11.665 3.392 20.718 C
-0.244 -10.096 8.412 C
-4.925 -3.979 1.308 C
-2.415 0.177 5.869 C
-10.258 1.982 22.822 C
0.028 -7.434 7.524 C
-12.086 5.323 9.738 C
-5.579 -4.682 16.412 C
0.110 -1.222 9.769 C
-7.845 -9.775 13.433 C
-9.870 -2.328 19.674 C
-8.837 1.296 5.514 C
-13.427 0.076 18.552 C
-15.789 -4.921 21.046 C
-13.001 2.352 13.304 C
-8.110 0.298 8.135 C
-5.761 -3.764 10.535 C
-1.875 -9.016 6.276 C
-9.705 -1.198 6.355 C
-7.920 -7.093 14.248 C
-1.142 -8.134 12.100 C
-5.514 -1.848 14.661 C
-5.562 -8.246 13.640 C
-5.519 -10.347 11.527 C
-6.279 1.194 17.693 C
-5.327 -5.970 7.329 C
-10.945 5.594 15.984 C
-10.639 -4.971 11.253 C
-3.551 -4.584 9.030 C
-9.660 -1.154 17.128 C
-4.428 -7.926 9.478 C
-5.567 -3.115 7.767 C
-8.096 -2.845 15.111 C
-6.144 2.845 10.940 C
-12.989 2.799 7.803 S
-7.504 -7.966 8.816 S
-16.781 -0.628 15.130 S
-4.851 -1.712 17.462 S
2.319 -4.627 14.125 S
-7.783 -6.055 11.563 S
-13.435 -0.914 15.121 S
-2.195 -2.312 1.710 S
0.327 -4.616 10.863 O
-3.920 -7.715 2.182 O
-3.007 -8.886 6.099 O
-2.413 -2.635 11.878 O
-12.280 0.050 18.692 O
-11.575 -0.430 9.414 O
-10.332 -0.421 16.526 O
-15.753 6.263 10.772 O
0.485 -1.798 8.836 O
-12.609 2.718 16.589 O
-13.073 -2.994 11.770 O
-5.904 -3.160 11.507 O
-8.818 -3.455 14.437 O
-4.488 -0.651 10.228 O
-10.613 -4.430 12.270 O
0.049 -6.368 7.980 O
-3.579 -8.485 8.905 O
-12.605 3.443 13.357 O
-0.897 -11.765 12.310 O
-15.733 3.688 12.267 O
-12.305 -4.276 14.894 O
-7.935 0.809 14.846 O
-0.401 -10.664 9.407 O
-7.578 3.613 7.647 O
-10.626 -2.312 20.552 O
-1.432 -6.033 4.470 O
-4.342 -4.971 1.223 O
-8.448 -5.388 6.156 O
2.084 -8.579 10.345 O
-5.666 -2.165 7.113 O
-17.317 0.043 10.442 O
-2.420 -0.145 6.986 O
-12.019 -3.380 8.050 O
-12.988 -3.190 18.158 O
-7.831 -3.586 3.574 O
-6.062 -0.180 5.047 O
-9.299 3.353 13.534 O
-14.692 5.309 14.711 O
-6.542 -6.634 3.458 O
-14.865 -3.058 9.500 O
-6.100 2.185 17.103 O
-20.249 -0.878 11.976 O
-12.075 -5.920 19.577 O
-1.228 -4.811 14.001 O
-7.150 0.157 8.762 O
-1.815 -8.404 11.197 O
-14.769 -4.460 20.741 O
-3.751 -5.868 12.327 O
-1.801 -1.356 14.882 O
-9.264 2.918 18.054 O
-14.210 0.647 10.196 O
-12.086 5.768 15.988 O
-12.876 5.064 10.539 O
-10.501 2.487 10.687 O
-2.404 -4.555 9.180 O
-8.767 -2.694 9.576 O
-1.806 -3.200 6.376 O
-3.292 -12.130 9.905 O
-2.237 -3.654 16.724 O
-17.349 -3.049 18.298 O
-17.382 -2.894 11.757 O
-4.692 -1.856 13.845 O
-10.050 -4.881 17.172 O
-9.277 -8.346 17.147 O
-4.648 -10.788 12.158 O
-7.164 2.385 11.244 O
-8.305 -6.446 15.127 O
-13.615 -1.010 6.739 O
-4.670 1.436 13.984 O
-10.668 -0.326 12.721 O
-5.257 -9.585 4.280 O
-8.896 0.950 20.143 O
-5.200 -6.685 6.431 O
-9.726 -2.264 5.900 O
-4.462 1.802 7.854 O
-10.800 -6.272 3.756 O
-5.258 -5.233 15.435 O
-4.377 -4.130 4.678 O
-4.551 -8.360 14.201 O
-12.040 3.179 19.646 O
```

Calculated values
Formation energy from the elements: -936 meV/atom
Crystal system: orthorhombic

---

Entry 3:
Material: Ru3C9Se2O9
Method: DFT, PBE
State: relaxed

Geometry as POSCAR:
```
Ru3C9Se2O9
1.0
-1.644 3.482 -5.905
-6.644 -4.944 -5.252
-11.320 6.067 5.291
Ru C Se O
6 18 4 18
Cartesian
-13.020 2.577 -3.632 Ru
-6.587 2.028 -2.234 Ru
-15.719 3.615 -3.464 Ru
-3.888 0.990 -2.401 Ru
-12.371 5.091 -2.309 Ru
-7.236 -0.486 -3.556 Ru
-11.249 2.786 -4.298 C
-8.358 1.819 -1.567 C
-13.808 1.620 -5.082 C
-5.799 2.985 -0.783 C
-12.606 0.990 -2.654 C
-7.001 3.615 -3.212 C
-16.518 3.498 -5.207 C
-3.089 1.107 -0.659 C
-16.772 5.055 -2.854 C
-2.835 -0.450 -3.012 C
-16.838 2.219 -2.762 C
-2.769 2.386 -3.104 C
-11.234 4.720 -0.806 C
-8.373 -0.115 -5.059 C
-10.945 5.961 -3.273 C
-8.662 -1.356 -2.592 C
-13.130 6.652 -1.581 C
-6.477 -2.047 -4.285 C
-14.127 3.476 -1.521 Se
-5.480 1.129 -4.345 Se
-13.760 4.898 -4.415 Se
-5.847 -0.293 -1.451 Se
-10.179 2.882 -4.746 O
-9.428 1.723 -1.119 O
-14.239 1.012 -5.977 O
-5.369 3.593 0.111 O
-12.343 0.029 -2.060 O
-7.264 4.576 -3.806 O
-16.994 3.449 -6.264 O
-2.613 1.157 0.398 O
-6.066 -0.113 -7.739 O
-13.541 4.718 1.874 O
-10.901 6.341 2.901 O
-8.706 -1.736 -8.767 O
-10.553 4.532 0.114 O
-9.054 0.074 -5.980 O
-8.453 3.010 2.046 O
-11.154 1.595 -7.912 O
-13.641 7.578 -1.101 O
-5.966 -2.973 -4.764 O
```

Calculated values
Formation energy from the elements: -940 meV/atom
Crystal system: triclinic

---

Entry 4:
Material: RuC3SeO3
Method: DFT, PBE
State: relaxed

Geometry as POSCAR:
```
RuC3SeO3
1.0
-5.213 5.213 5.213
5.213 -5.213 5.213
5.213 5.213 -5.213
Ru C Se O
4 12 4 12
Cartesian
3.845 3.845 3.845 Ru
1.368 -1.368 1.368 Ru
1.368 1.368 -1.368 Ru
-1.368 1.368 1.368 Ru
1.311 -1.311 3.288 C
1.311 1.311 7.137 C
-1.311 3.288 1.311 C
3.902 1.925 3.902 C
-1.311 1.311 3.288 C
3.288 1.311 -1.311 C
1.311 3.288 -1.311 C
3.902 3.902 1.925 C
3.288 -1.311 1.311 C
1.311 7.137 1.311 C
7.137 1.311 1.311 C
1.925 3.902 3.902 C
3.977 3.977 -3.977 Se
3.977 -3.977 3.977 Se
-3.977 3.977 3.977 Se
1.236 1.236 1.236 Se
-1.285 1.285 4.445 O
1.285 4.445 -1.285 O
0.767 3.927 3.927 O
3.927 0.767 3.927 O
4.445 -1.285 1.285 O
1.285 5.980 1.285 O
1.285 1.285 5.980 O
3.927 3.927 0.767 O
-1.285 4.445 1.285 O
4.445 1.285 -1.285 O
1.285 -1.285 4.445 O
5.980 1.285 1.285 O
```

Calculated values
Formation energy from the elements: -926 meV/atom
Crystal system: cubic

---

Entry 5:
Material: SiC2O2
Method: DFT, PBE
State: relaxed

Geometry as POSCAR:
```
SiC2O2
1.0
-1.452 3.516 6.392
1.452 -3.516 6.392
1.452 3.516 -6.392
Si C O
2 4 4
Cartesian
0.000 3.516 1.572 Si
1.452 0.000 4.821 Si
0.000 0.000 11.722 C
0.000 1.008 0.000 C
0.000 0.000 1.063 C
0.000 6.024 0.000 C
0.000 4.678 0.000 O
0.000 0.000 2.304 O
0.000 0.000 10.480 O
0.000 2.355 0.000 O
```

Calculated values
Formation energy from the elements: -472 meV/atom
Crystal system: orthorhombic

---

Entry 6:
Material: Si12CO24
Method: DFT, PBE
State: relaxed

Geometry as POSCAR:
```
Si12CO24
1.0
-2.736 -3.771 10.279
7.625 5.168 6.520
-3.194 3.963 0.621
Si C O
12 1 24
Cartesian
-2.934 2.562 8.934 Si
1.293 6.209 7.401 Si
3.360 4.353 8.727 Si
-0.851 0.721 10.255 Si
5.882 3.031 12.508 Si
1.660 -0.611 14.040 Si
-2.816 0.528 4.656 Si
1.501 4.253 3.090 Si
-1.072 4.146 6.905 Si
1.692 2.552 10.732 Si
-0.069 2.092 4.785 Si
0.603 4.675 12.781 Si
1.016 0.292 3.496 C
-0.280 -0.686 9.669 O
4.389 3.342 7.975 O
2.602 5.271 7.615 O
-2.075 1.236 9.312 O
1.091 0.902 5.154 O
1.398 3.449 12.058 O
-3.851 1.484 5.456 O
1.000 5.670 3.696 O
5.048 4.350 12.060 O
0.329 0.279 13.772 O
-0.276 2.924 6.194 O
2.801 1.408 11.070 O
-1.000 -1.840 7.400 O
4.621 3.009 5.361 O
4.195 5.311 9.726 O
-1.401 0.483 11.756 O
-1.444 1.341 4.424 O
0.573 3.081 3.692 O
1.672 5.754 13.350 O
-0.239 4.105 14.043 O
-1.980 3.625 8.134 O
-0.058 5.284 7.436 O
2.234 3.497 9.531 O
0.322 1.847 10.224 O
```

Calculated values
Formation energy from the elements: -2967 meV/atom
Crystal system: monoclinic